(1)
PBE SmCo9Si4, relaxed; energy of formation from the pure elements = -465 meV per atom; space-group type = No. 140; E_tot = -6.942 eV per atom
1.0
-3.865 3.865 5.714
3.865 -3.865 5.714
3.865 3.865 -5.714
Sm Co Si
2 18 8
direct
0.250 0.250 0.000
0.750 0.750 0.000
0.000 0.500 0.500
0.050 0.550 0.239
0.070 0.801 0.871
0.189 0.950 0.500
0.199 0.070 0.270
0.301 0.570 0.871
0.311 0.811 0.761
0.430 0.301 0.730
0.450 0.689 0.500
0.500 0.000 0.500
0.550 0.311 0.500
0.570 0.699 0.270
0.689 0.189 0.239
0.699 0.430 0.129
0.801 0.930 0.730
0.811 0.050 0.500
0.930 0.199 0.129
0.950 0.450 0.761
0.047 0.210 0.500
0.210 0.710 0.162
0.290 0.453 0.500
0.453 0.953 0.162
0.547 0.047 0.838
0.710 0.547 0.500
0.790 0.290 0.838
0.953 0.790 0.500


(2)
PBE RbTbS2, relaxed; energy of formation from the pure elements = -2098 meV per atom; space-group type = No. 166; E_tot = -5.318 eV per atom
1.0
2.050 1.184 7.687
-2.050 1.184 7.687
0.000 -2.368 7.687
Rb Tb S
1 1 2
direct
0.000 0.000 0.000
0.500 0.500 0.500
0.231 0.231 0.231
0.769 0.769 0.769


(3)
PBE CaNdEuSbO6, relaxed; total magnetization = 0.70 μB/atom; energy relative to the lowest polymorph listed for this composition = 0 meV/atom; energy of formation from the pure elements = -2936 meV per atom; space-group type = No. 118; E_tot = -7.609 eV per atom
1.0
5.899 0.000 0.000
0.000 5.899 0.000
0.000 0.000 8.568
Ca Nd Eu Sb O
2 2 2 2 12
direct
0.000 0.500 0.250
0.500 0.000 0.750
0.000 0.000 0.000
0.500 0.500 0.500
0.000 0.500 0.750
0.500 0.000 0.250
0.000 0.000 0.500
0.500 0.500 0.000
0.000 0.000 0.266
0.000 0.000 0.734
0.152 0.306 0.492
0.194 0.348 0.008
0.306 0.848 0.508
0.348 0.806 0.992
0.500 0.500 0.234
0.500 0.500 0.766
0.652 0.194 0.992
0.694 0.152 0.508
0.806 0.652 0.008
0.848 0.694 0.492


(4)
PBE TiCu2Sn, relaxed; energy of formation from the pure elements = -5 meV per atom; space-group type = No. 123; E_tot = -5.031 eV per atom
1.0
3.332 0.000 0.000
0.000 3.332 0.000
0.000 0.000 5.852
Ti Cu Sn
1 2 1
direct
0.000 0.000 0.000
0.500 0.500 0.218
0.500 0.500 0.782
0.000 0.000 0.500


(5)
PBE SnPbO3, relaxed; total magnetization = 0.00 μB/atom; energy of formation from the pure elements = -1801 meV per atom; space-group type = No. 55; E_tot = -5.903 eV per atom
1.0
5.838 0.000 0.000
0.000 11.820 0.000
0.000 0.000 8.187
Sn Pb O
8 8 24
direct
0.249 0.125 0.250
0.249 0.125 0.750
0.251 0.625 0.250
0.251 0.625 0.750
0.749 0.375 0.250
0.749 0.375 0.750
0.751 0.875 0.250
0.751 0.875 0.750
0.227 0.379 0.000
0.231 0.372 0.500
0.269 0.872 0.500
0.273 0.879 0.000
0.727 0.121 0.000
0.731 0.128 0.500
0.769 0.628 0.500
0.773 0.621 0.000
0.000 0.000 0.216
0.000 0.000 0.784
0.000 0.500 0.202
0.000 0.500 0.798
0.030 0.261 0.288
0.030 0.261 0.712
0.206 0.590 0.500
0.226 0.661 0.000
0.274 0.161 0.000
0.294 0.090 0.500
0.470 0.761 0.288
0.470 0.761 0.712
0.500 0.000 0.202
0.500 0.000 0.798
0.500 0.500 0.216
0.500 0.500 0.784
0.530 0.239 0.288
0.530 0.239 0.712
0.706 0.910 0.500
0.726 0.839 0.000
0.774 0.339 0.000
0.794 0.410 0.500
0.970 0.739 0.288
0.970 0.739 0.712


(6)
PBE NpGeO2, relaxed; total magnetization = 0.94 μB/atom; energy of formation from the pure elements = -1916 meV per atom; space-group type = No. 141; E_tot = -8.439 eV per atom
1.0
-3.354 3.354 5.659
3.354 -3.354 5.659
3.354 3.354 -5.659
Np Ge O
4 4 8
direct
0.000 0.000 0.000
0.000 0.000 0.500
0.000 0.500 0.000
0.500 0.000 0.500
0.000 0.500 0.500
0.500 0.000 0.000
0.500 0.500 0.000
0.500 0.500 0.500
0.182 0.202 0.980
0.202 0.182 0.480
0.202 0.722 0.020
0.278 0.798 0.480
0.722 0.202 0.520
0.798 0.278 0.980
0.798 0.818 0.520
0.818 0.798 0.020